(1)
Density functional theory data (PBE) for an optimized crystal structure of CeCuO3.

Results
E_tot (eV/atom): -6.898
ΔH_f (0 K) (eV per atom): -2.335
V (A^3/atom): 11.26

Cell and atoms, written as POSCAR:
```
CeCuO3
1.0
3.833 0.000 0.000
0.000 3.833 0.000
0.000 0.000 3.833
Ce O Cu
1 3 1
Direct
0.500 0.500 0.500
0.000 0.000 0.500
0.000 0.500 0.000
0.500 0.000 0.000
0.000 0.000 0.000
```

---

(2)
Density functional theory data (PBE) for an optimized crystal structure of LiCr2P3S12.

Results
E_tot (eV/atom): -5.237
ΔH_f (0 K) (eV per atom): -0.734
V (A^3/atom): 26.83

Cell and atoms, written as POSCAR:
```
LiCr2P3S12
1.0
-3.383 -16.656 0.054
3.945 -0.766 10.733
-9.210 1.315 3.479
S P Cr Li
48 12 8 4
Direct
0.075 0.681 0.637
0.323 0.932 0.056
0.144 0.354 0.758
0.978 0.872 0.122
0.478 0.628 0.622
0.648 0.561 0.720
0.936 0.381 0.031
0.732 0.802 0.644
0.405 0.656 0.946
0.148 0.939 0.220
0.522 0.372 0.378
0.064 0.619 0.969
0.739 0.892 0.312
0.677 0.068 0.944
0.352 0.439 0.280
0.232 0.698 0.144
0.436 0.119 0.531
0.687 0.128 0.610
0.550 0.835 0.791
0.761 0.392 0.188
0.159 0.851 0.887
0.768 0.302 0.856
0.841 0.149 0.113
0.823 0.568 0.556
0.852 0.061 0.780
0.268 0.198 0.356
0.177 0.432 0.444
0.813 0.628 0.890
0.950 0.335 0.709
0.261 0.108 0.688
0.313 0.872 0.390
0.239 0.608 0.812
0.050 0.665 0.291
0.575 0.819 0.137
0.905 0.844 0.446
0.095 0.156 0.554
0.356 0.854 0.742
0.425 0.181 0.863
0.659 0.649 0.387
0.856 0.646 0.242
0.644 0.146 0.258
0.187 0.372 0.110
0.564 0.881 0.469
0.022 0.128 0.878
0.450 0.165 0.209
0.341 0.351 0.613
0.925 0.319 0.363
0.595 0.344 0.054
0.759 0.634 0.721
0.741 0.134 0.779
0.129 0.687 0.806
0.553 0.259 0.224
0.871 0.313 0.194
0.241 0.366 0.279
0.371 0.187 0.694
0.629 0.813 0.306
0.947 0.759 0.276
0.053 0.241 0.724
0.259 0.866 0.221
0.447 0.741 0.776
0.602 0.722 0.608
0.898 0.222 0.892
0.712 0.235 0.076
0.788 0.735 0.424
0.288 0.765 0.924
0.212 0.265 0.576
0.398 0.278 0.392
0.102 0.778 0.108
0.949 0.589 0.762
0.551 0.089 0.738
0.449 0.911 0.262
0.051 0.411 0.238
```

---

(3)
Density functional theory data (PBE) for an optimized crystal structure of Nd11Hg45.

Results
E_tot (eV/atom): -1.460
ΔH_f (0 K) (eV per atom): -0.279
V (A^3/atom): 25.06

Cell and atoms, written as POSCAR:
```
Nd11Hg45
1.0
15.764 -1.456 -0.305
8.484 3.039 13.019
7.009 -11.846 7.826
Hg Nd
90 22
Direct
0.154 0.154 0.846
0.162 0.162 0.513
0.259 0.614 0.259
0.642 0.642 0.266
0.259 0.259 0.869
0.200 0.017 0.392
0.512 0.837 0.139
0.066 0.765 0.765
0.139 0.837 0.512
0.869 0.259 0.614
0.869 0.259 0.259
0.828 0.516 0.828
0.392 0.200 0.392
0.750 0.750 0.750
0.915 0.915 0.256
0.450 0.266 0.642
0.642 0.642 0.450
0.642 0.450 0.266
0.765 0.404 0.765
0.642 0.266 0.450
0.017 0.392 0.200
0.259 0.869 0.259
0.765 0.765 0.404
0.915 0.915 0.915
0.259 0.614 0.869
0.200 0.392 0.017
0.915 0.256 0.915
0.846 0.846 0.154
0.642 0.266 0.642
0.139 0.512 0.837
0.404 0.066 0.765
0.162 0.162 0.162
0.846 0.154 0.154
0.911 0.589 0.589
0.392 0.392 0.200
0.846 0.154 0.846
0.404 0.765 0.765
0.837 0.512 0.139
0.512 0.139 0.512
0.066 0.765 0.404
0.828 0.828 0.828
0.614 0.869 0.259
0.083 0.751 0.083
0.751 0.083 0.083
0.614 0.259 0.869
0.017 0.392 0.392
0.512 0.512 0.837
0.837 0.512 0.512
0.589 0.911 0.911
0.512 0.512 0.139
0.837 0.139 0.512
0.765 0.404 0.066
0.450 0.642 0.642
0.139 0.512 0.512
0.642 0.450 0.642
0.266 0.642 0.642
0.512 0.837 0.512
0.256 0.915 0.915
0.589 0.911 0.589
0.392 0.200 0.017
0.017 0.200 0.392
0.259 0.869 0.614
0.266 0.450 0.642
0.404 0.765 0.066
0.513 0.162 0.162
0.765 0.765 0.066
0.392 0.017 0.200
0.589 0.589 0.911
0.083 0.083 0.751
0.911 0.589 0.911
0.614 0.259 0.259
0.828 0.828 0.516
0.450 0.642 0.266
0.869 0.614 0.259
0.200 0.392 0.392
0.083 0.083 0.083
0.911 0.911 0.589
0.162 0.513 0.162
0.066 0.404 0.765
0.512 0.139 0.837
0.266 0.642 0.450
0.765 0.066 0.404
0.154 0.846 0.846
0.259 0.259 0.614
0.516 0.828 0.828
0.765 0.066 0.765
0.154 0.846 0.154
0.392 0.392 0.017
0.392 0.017 0.392
0.500 0.500 0.500
0.016 0.016 0.330
0.662 0.662 0.015
0.662 0.015 0.662
0.016 0.639 0.016
0.639 0.016 0.330
0.406 0.783 0.406
0.639 0.330 0.016
0.330 0.639 0.016
0.016 0.330 0.639
0.016 0.330 0.016
0.000 0.000 0.000
0.406 0.406 0.406
0.406 0.406 0.783
0.639 0.016 0.016
0.783 0.406 0.406
0.250 0.250 0.250
0.016 0.639 0.330
0.015 0.662 0.662
0.662 0.662 0.662
0.330 0.016 0.639
0.330 0.016 0.016
0.016 0.016 0.639
```

---

(4)
Density functional theory data (PBE) for an optimized crystal structure of Li3SbP2O8.

Results
E_tot (eV/atom): -6.413
ΔH_f (0 K) (eV per atom): -2.501
V (A^3/atom): 11.41

Cell and atoms, written as POSCAR:
```
Li3SbP2O8
1.0
4.373 -7.575 0.000
4.373 7.575 0.000
0.000 0.000 7.230
Sb O P Li
3 24 6 9
Direct
0.667 0.333 0.455
0.333 0.667 0.545
0.000 0.000 0.500
0.844 0.270 0.903
0.265 0.384 0.447
0.730 0.574 0.903
0.394 0.878 0.755
0.485 0.606 0.755
0.270 0.426 0.097
0.868 0.071 0.233
0.735 0.616 0.553
0.119 0.735 0.447
0.156 0.730 0.097
0.616 0.881 0.447
0.132 0.929 0.767
0.203 0.132 0.233
0.071 0.203 0.767
0.574 0.844 0.097
0.122 0.515 0.755
0.878 0.485 0.245
0.797 0.868 0.767
0.426 0.156 0.903
0.881 0.265 0.553
0.606 0.122 0.245
0.384 0.119 0.553
0.515 0.394 0.245
0.929 0.797 0.233
0.025 0.689 0.257
0.664 0.975 0.257
0.975 0.311 0.743
0.689 0.664 0.743
0.311 0.336 0.257
0.336 0.025 0.743
0.052 0.687 0.842
0.000 0.000 0.000
0.333 0.667 0.024
0.635 0.948 0.842
0.313 0.365 0.842
0.687 0.635 0.158
0.667 0.333 0.976
0.948 0.313 0.158
0.365 0.052 0.158
```

---

(5)
Density functional theory data (PBE) for an optimized crystal structure of Ho3Os.

Results
E_tot (eV/atom): -6.519
ΔH_f (0 K) (eV per atom): -0.275
V (A^3/atom): 26.28

Cell and atoms, written as POSCAR:
```
Ho3Os
1.0
-4.989 -2.148 3.195
-0.495 -5.725 -4.621
5.496 -4.798 5.356
Ho Os
12 4
Direct
0.168 0.176 0.063
0.668 0.324 0.563
0.668 0.324 0.937
0.132 0.461 0.750
0.332 0.676 0.437
0.832 0.824 0.563
0.168 0.176 0.437
0.368 0.961 0.750
0.832 0.824 0.937
0.632 0.039 0.250
0.868 0.539 0.250
0.332 0.676 0.063
0.459 0.384 0.250
0.541 0.616 0.750
0.041 0.884 0.250
0.959 0.116 0.750
```

---

(6)
Density functional theory data (PBE) for an optimized crystal structure of UCr6P4.

Results
E_tot (eV/atom): -8.794
ΔH_f (0 K) (eV per atom): -0.533
V (A^3/atom): 12.99

Cell and atoms, written as POSCAR:
```
UCr6P4
1.0
-3.248 -1.226 -0.381
0.236 -2.605 6.375
-4.347 10.176 4.319
P Cr U
8 12 2
Direct
0.500 0.500 0.510
0.500 0.000 0.011
0.000 0.717 0.774
0.000 0.000 0.490
0.500 0.783 0.226
0.000 0.283 0.774
0.500 0.217 0.226
0.000 0.500 0.989
0.500 0.303 0.911
0.000 0.306 0.576
0.500 0.697 0.911
0.000 0.803 0.089
0.500 0.194 0.424
0.000 0.694 0.576
0.500 0.806 0.424
0.500 0.500 0.116
0.000 0.000 0.884
0.000 0.197 0.089
0.500 0.500 0.719
0.000 0.000 0.281
0.000 0.500 0.319
0.500 0.000 0.681
```

---

(7)
Density functional theory data (PBE) for an optimized crystal structure of PrS2.

Results
E_tot (eV/atom): -6.089
ΔH_f (0 K) (eV per atom): -2.073
V (A^3/atom): 22.65

Cell and atoms, written as POSCAR:
```
PrS2
1.0
-1.268 1.956 -3.356
-3.275 -6.893 -2.781
-7.058 1.831 3.733
S Pr
8 4
Direct
0.738 0.375 0.634
0.262 0.625 0.366
0.845 0.607 0.998
0.762 0.875 0.634
0.655 0.107 0.998
0.345 0.893 0.002
0.155 0.393 0.002
0.238 0.125 0.366
0.288 0.630 0.724
0.712 0.370 0.276
0.788 0.870 0.276
0.212 0.130 0.724
```

---

(8)
Density functional theory data (PBE) for an optimized crystal structure of Mg3Al18W2.

Results
E_tot (eV/atom): -4.368
ΔH_f (0 K) (eV per atom): -0.101
V (A^3/atom): 17.27

Cell and atoms, written as POSCAR:
```
Mg3Al18W2
1.0
0.000 7.350 7.350
7.350 0.000 7.350
7.350 7.350 0.000
Al Mg W
36 6 4
Direct
0.566 0.302 0.831
0.684 0.948 0.948
0.419 0.684 0.948
0.419 0.948 0.684
0.859 0.141 0.141
0.302 0.302 0.831
0.302 0.566 0.302
0.109 0.109 0.391
0.948 0.948 0.419
0.684 0.419 0.948
0.566 0.302 0.302
0.859 0.141 0.859
0.948 0.419 0.684
0.831 0.302 0.566
0.302 0.831 0.566
0.302 0.302 0.566
0.684 0.948 0.419
0.141 0.859 0.141
0.948 0.684 0.419
0.391 0.391 0.109
0.831 0.566 0.302
0.948 0.419 0.948
0.859 0.859 0.141
0.141 0.859 0.859
0.391 0.109 0.391
0.831 0.302 0.302
0.948 0.948 0.684
0.302 0.831 0.302
0.391 0.109 0.109
0.566 0.831 0.302
0.948 0.684 0.948
0.141 0.141 0.859
0.302 0.566 0.831
0.109 0.391 0.109
0.109 0.391 0.391
0.419 0.948 0.948
0.625 0.625 0.625
0.500 0.500 0.500
0.750 0.750 0.750
0.625 0.125 0.625
0.125 0.625 0.625
0.625 0.625 0.125
0.125 0.125 0.625
0.125 0.125 0.125
0.625 0.125 0.125
0.125 0.625 0.125
```